P) Re8Pb8O27 | PBE | relaxed

Cell lengths 7.4812, 7.4812, 10.6529 Å; angles 90.00, 90.00, 90.00 degrees
Closest atoms and distances in Å follow each position.
Fractional positions:
Re (0.7488, 0.5000, 0.8751)  6 O 1.98-2.00
Re (0.2488, 0.0000, 0.3729)  6 O 1.97-2.02
Re (0.7512, 0.0000, 0.3729)  6 O 1.97-2.02
Re (0.2512, 0.5000, 0.8751)  6 O 1.98-2.00
Re (0.5000, 0.2512, 0.1249)  6 O 1.98-2.00
Re (0.0000, 0.7512, 0.6271)  6 O 1.97-2.02
Re (0.5000, 0.7488, 0.1249)  6 O 1.98-2.00
Re (0.0000, 0.2488, 0.6271)  6 O 1.97-2.02
Pb (0.2528, 0.0000, 0.8758)  2 O 2.31-2.49
Pb (0.7490, 0.5000, 0.3844)  1 O 2.18
Pb (0.2510, 0.5000, 0.3844)  1 O 2.18
Pb (0.7472, 0.0000, 0.8758)  2 O 2.31-2.49
Pb (0.0000, 0.7472, 0.1242)  2 O 2.31-2.49
Pb (0.5000, 0.2510, 0.6156)  1 O 2.18
Pb (0.5000, 0.7490, 0.6156)  1 O 2.18
Pb (0.0000, 0.2528, 0.1242)  2 O 2.31-2.49
O (0.5000, 0.5000, 0.8123)  2 Re 1.98
O (0.0000, 0.0000, 0.3117)  2 Re 1.97
O (0.5000, 0.5000, 0.1877)  2 Re 1.98
O (0.0000, 0.0000, 0.6883)  2 Re 1.97
O (0.6885, 0.3115, 0.0000)  2 Re 1.99
O (0.1906, 0.8094, 0.5000)  2 Re 2.01
O (0.3115, 0.6885, 0.0000)  2 Re 1.99
O (0.8094, 0.1906, 0.5000)  2 Re 2.01
O (0.3115, 0.3115, 0.0000)  2 Re 1.99
O (0.8094, 0.8094, 0.5000)  2 Re 2.01
O (0.6885, 0.6885, 0.0000)  2 Re 1.99
O (0.1906, 0.1906, 0.5000)  2 Re 2.01
O (0.5000, 0.0000, 0.4432)  2 Re 2.02
O (0.0000, 0.5000, 0.9378)  2 Re 1.99
O (0.5000, 0.0000, 0.0622)  2 Re 1.99
O (0.0000, 0.5000, 0.5568)  2 Re 2.02
O (0.3120, 0.1897, 0.2512)  2 Re 1.98-2.00
O (0.8103, 0.6880, 0.7488)  2 Re 1.98-2.00
O (0.6880, 0.8103, 0.2512)  2 Re 1.98-2.00
O (0.1897, 0.3120, 0.7488)  2 Re 1.98-2.00
O (0.6880, 0.1897, 0.2512)  2 Re 1.98-2.00
O (0.1897, 0.6880, 0.7488)  2 Re 1.98-2.00
O (0.3120, 0.8103, 0.2512)  2 Re 1.98-2.00
O (0.8103, 0.3120, 0.7488)  2 Re 1.98-2.00
O (0.0000, 0.0000, 0.0000)  4 Pb 2.31
O (0.5000, 0.0000, 0.7190)  2 Pb 2.18
O (0.0000, 0.5000, 0.2810)  2 Pb 2.18

Values from the calculation:
Calculated volume, Å³ per cell: 596.2
Total magnetic moment, μB per formula unit: 0.00



Q) Re8Pb8O27 | PBE | relaxed

Cell lengths 7.4860, 7.4860, 59.8686 Å; angles 59.99, 59.99, 60.00 degrees
Closest atoms and distances in Å follow each position.
Fractional positions:
Re (0.5006, 0.5006, 0.9998)  6 O 1.99-2.00
Re (0.5003, 0.5002, 0.0625)  6 O 1.99-2.00
Re (0.4997, 0.4997, 0.1251)  6 O 2.00
Re (0.4995, 0.0001, 0.1876)  6 O 1.99-2.01
Re (0.5002, 0.9999, 0.0625)  6 O 1.99-2.00
Re (0.9999, 0.5002, 0.0625)  6 O 1.99-2.00
Re (0.4995, 0.4995, 0.1876)  6 O 1.99-2.01
Re (0.5002, 0.9999, 0.3125)  6 O 1.99-2.00
Re (0.5001, 0.5000, 0.2500)  6 O 1.99-2.00
Re (0.0001, 0.4995, 0.1876)  6 O 1.99-2.01
Re (0.5002, 0.5002, 0.3125)  6 O 1.99-2.00
Re (0.5000, 0.5000, 0.3750)  6 O 2.00-2.01
Re (0.9999, 0.5002, 0.3125)  6 O 1.99-2.00
Re (0.4984, 0.4984, 0.4380)  6 O 1.95-2.03
Re (0.4985, 0.9992, 0.4380)  6 O 1.95-2.03
Re (0.4998, 0.9995, 0.5626)  6 O 1.97-1.99
Re (0.4994, 0.4994, 0.5002)  6 O 1.99-2.00
Re (0.9992, 0.4985, 0.4380)  6 O 1.95-2.03
Re (0.4998, 0.4998, 0.5626)  6 O 1.97-1.99
Re (0.5001, 0.5001, 0.6250)  6 O 1.98-1.99
Re (0.9995, 0.4998, 0.5626)  6 O 1.97-1.99
Re (0.5001, 0.5001, 0.6875)  6 O 1.98-1.99
Re (0.4999, 0.9999, 0.8125)  6 O 1.97-1.99
Re (0.4998, 0.4999, 0.7501)  6 O 1.98-1.99
Re (0.5001, 0.9999, 0.6875)  6 O 1.98-1.99
Re (0.9999, 0.5001, 0.6875)  6 O 1.98-1.99
Re (0.4999, 0.4999, 0.8125)  6 O 1.97-1.99
Re (0.5004, 0.5004, 0.8749)  6 O 1.98-2.00
Re (0.5014, 0.0008, 0.9370)  6 O 1.95-2.02
Re (0.0000, 0.4999, 0.8125)  6 O 1.97-1.99
Re (0.5014, 0.5014, 0.9370)  6 O 1.95-2.02
Re (0.0008, 0.5014, 0.9370)  6 O 1.95-2.02
Pb (0.0011, 0.0011, 0.0003)  1 O 2.23
Pb (0.0011, 0.4954, 0.0003)  1 O 2.23
Pb (0.4953, 0.0011, 0.0003)  1 O 2.23
Pb (0.0020, 0.0020, 0.1253)  1 O 2.33
Pb (0.0016, 0.0016, 0.0619)  1 O 2.31
Pb (0.4935, 0.0020, 0.1253)  1 O 2.33
Pb (0.0022, 0.0021, 0.2502)  1 O 2.33
Pb (0.4939, 0.0021, 0.2502)  1 O 2.33
Pb (0.0023, 0.0023, 0.1866)  1 O 2.33
Pb (0.0020, 0.4935, 0.1253)  1 O 2.33
Pb (0.0063, 0.0064, 0.4351)  1 O 2.08
Pb (0.4950, 0.9998, 0.3757)  1 O 2.32
Pb (0.9976, 0.9976, 0.5005)  2 O 2.27-2.42
Pb (0.0021, 0.0021, 0.3117)  1 O 2.33
Pb (0.0021, 0.4939, 0.2502)  1 O 2.33
Pb (0.9985, 0.9986, 0.5630)  2 O 2.25-2.41
Pb (0.9976, 0.5005, 0.5005)  2 O 2.27-2.42
Pb (0.9998, 0.9999, 0.3757)  1 O 2.32
Pb (0.5004, 0.9976, 0.5005)  2 O 2.27-2.42
Pb (0.9998, 0.4950, 0.3757)  1 O 2.32
Pb (0.4997, 0.0001, 0.6250)  2 O 2.29-2.30
Pb (0.0007, 0.0006, 0.8123)  2 O 2.28-2.33
Pb (0.0002, 0.0001, 0.6250)  2 O 2.29-2.30
Pb (0.5002, 0.9998, 0.7501)  2 O 2.29
Pb (0.0017, 0.0017, 0.8744)  2 O 2.28-2.33
Pb (0.0001, 0.4998, 0.6250)  2 O 2.29-2.30
Pb (0.9998, 0.9995, 0.7500)  2 O 2.29-2.30
Pb (0.5014, 0.0017, 0.8744)  2 O 2.28-2.33
Pb (0.9997, 0.5004, 0.7500)  2 O 2.29-2.30
Pb (0.9999, 0.9997, 0.6876)  2 O 2.29-2.30
Pb (0.0017, 0.5015, 0.8744)  2 O 2.28-2.33
Pb (0.0011, 0.0011, 0.9371)  1 O 2.18
O (0.1837, 0.5668, 0.0228)  2 Re 2.00
O (0.1832, 0.1832, 0.0707)  2 Re 2.00
O (0.5668, 0.1837, 0.0228)  2 Re 2.00
O (0.1832, 0.5678, 0.0707)  2 Re 2.00
O (0.5668, 0.5668, 0.0228)  2 Re 2.00
O (0.5678, 0.1832, 0.0707)  2 Re 2.00
O (0.4337, 0.4337, 0.1020)  2 Re 2.00
O (0.4338, 0.8139, 0.0548)  2 Re 1.99
O (0.1832, 0.1832, 0.1958)  2 Re 2.00
O (0.1817, 0.5678, 0.1478)  2 Re 2.00-2.01
O (0.8139, 0.4338, 0.0548)  2 Re 1.99
O (0.4337, 0.8165, 0.1020)  2 Re 2.00
O (0.1832, 0.5668, 0.1958)  2 Re 2.00
O (0.5678, 0.1817, 0.1478)  2 Re 2.00-2.01
O (0.8165, 0.4337, 0.1020)  2 Re 2.00
O (0.8139, 0.8139, 0.0548)  2 Re 1.99
O (0.5668, 0.1832, 0.1958)  2 Re 2.00
O (0.5678, 0.5678, 0.1478)  2 Re 2.00-2.01
O (0.4357, 0.4357, 0.2268)  2 Re 1.99
O (0.1826, 0.1826, 0.3209)  2 Re 2.00
O (0.4347, 0.8159, 0.1792)  2 Re 2.00
O (0.1834, 0.5666, 0.2729)  2 Re 2.00
O (0.8159, 0.4347, 0.1792)  2 Re 2.00
O (0.8755, 0.8755, 0.1092)  4 Pb 2.31-2.33
O (0.4357, 0.8142, 0.2268)  2 Re 1.99
O (0.5665, 0.1834, 0.2729)  2 Re 2.00
O (0.1826, 0.5680, 0.3209)  2 Re 2.00
O (0.8142, 0.4357, 0.2268)  2 Re 1.99
O (0.8159, 0.8159, 0.1792)  2 Re 2.00
O (0.5680, 0.1826, 0.3209)  2 Re 2.00
O (0.5665, 0.5666, 0.2729)  2 Re 2.00
O (0.4347, 0.4347, 0.3519)  2 Re 1.99-2.00
O (0.1799, 0.5700, 0.3975)  2 Re 2.01-2.03
O (0.4345, 0.8155, 0.3043)  2 Re 1.99
O (0.1903, 0.1903, 0.4446)  2 Re 1.97
O (0.8155, 0.4345, 0.3043)  2 Re 1.99
O (0.8751, 0.8751, 0.2343)  4 Pb 2.33
O (0.5700, 0.1799, 0.3975)  2 Re 2.01-2.03
O (0.1298, 0.1298, 0.5138)  4 Pb 2.27-2.41
O (0.4347, 0.8158, 0.3519)  2 Re 1.99-2.00
O (0.1903, 0.5626, 0.4446)  2 Re 1.97
O (0.8158, 0.4346, 0.3519)  2 Re 1.99-2.00
O (0.5626, 0.1903, 0.4446)  2 Re 1.97
O (0.8155, 0.8155, 0.3043)  2 Re 1.99
O (0.5700, 0.5700, 0.3975)  2 Re 2.01-2.03
O (0.4396, 0.4396, 0.4763)  2 Re 1.95-1.99
O (0.1847, 0.5627, 0.5237)  2 Re 1.97-2.00
O (0.4364, 0.8171, 0.4287)  2 Re 2.01
O (0.1851, 0.1851, 0.5709)  2 Re 1.99
O (0.5627, 0.1847, 0.5237)  2 Re 1.97-2.00
O (0.8171, 0.4364, 0.4287)  2 Re 2.01
O (0.8748, 0.8748, 0.3594)  4 Pb 2.32-2.33
O (0.4396, 0.8106, 0.4763)  2 Re 1.95-1.99
O (0.1252, 0.1252, 0.6406)  4 Pb 2.29-2.30
O (0.1851, 0.5629, 0.5709)  2 Re 1.99
O (0.8106, 0.4396, 0.4763)  2 Re 1.95-1.99
O (0.5627, 0.5627, 0.5237)  2 Re 1.97-2.00
O (0.8171, 0.8171, 0.4287)  2 Re 2.01
O (0.5629, 0.1851, 0.5709)  2 Re 1.99
O (0.4366, 0.8132, 0.5546)  2 Re 1.99
O (0.4369, 0.4368, 0.6017)  2 Re 1.98
O (0.1876, 0.1876, 0.6952)  2 Re 1.99
O (0.1863, 0.5634, 0.6484)  2 Re 1.98-1.99
O (0.8132, 0.4367, 0.5546)  2 Re 1.99
O (0.8928, 0.8928, 0.4777)  1 Pb 2.08
O (0.1876, 0.5631, 0.6952)  2 Re 1.99
O (0.5634, 0.1863, 0.6484)  2 Re 1.98-1.99
O (0.1248, 0.1248, 0.7657)  4 Pb 2.28-2.30
O (0.4369, 0.8126, 0.6017)  2 Re 1.98
O (0.8132, 0.8132, 0.5546)  2 Re 1.99
O (0.8126, 0.4369, 0.6017)  2 Re 1.98
O (0.5631, 0.1876, 0.6952)  2 Re 1.99
O (0.5634, 0.5634, 0.6484)  2 Re 1.98-1.99
O (0.4367, 0.4367, 0.7266)  2 Re 1.98-1.99
O (0.1863, 0.1863, 0.8205)  2 Re 1.99
O (0.4370, 0.8124, 0.6798)  2 Re 1.98
O (0.1873, 0.5630, 0.7733)  2 Re 1.98-1.99
O (0.8124, 0.4370, 0.6798)  2 Re 1.98
O (0.1863, 0.5633, 0.8205)  2 Re 1.99
O (0.5630, 0.1873, 0.7733)  2 Re 1.98-1.99
O (0.8759, 0.8759, 0.6090)  4 Pb 2.25-2.30
O (0.1200, 0.1200, 0.8925)  4 Pb 2.18-2.33
O (0.4367, 0.8136, 0.7266)  2 Re 1.98-1.99
O (0.8124, 0.8124, 0.6798)  2 Re 1.98
O (0.8136, 0.4367, 0.7266)  2 Re 1.98-1.99
O (0.5633, 0.1863, 0.8205)  2 Re 1.99
O (0.5630, 0.5630, 0.7733)  2 Re 1.98-1.99
O (0.4367, 0.8148, 0.8042)  2 Re 1.99
O (0.1812, 0.1812, 0.9467)  2 Re 2.02
O (0.4372, 0.4372, 0.8514)  2 Re 1.97-2.00
O (0.1899, 0.5592, 0.8990)  2 Re 1.95-1.98
O (0.8147, 0.4367, 0.8042)  2 Re 1.99
O (0.8749, 0.8749, 0.7344)  4 Pb 2.29
O (0.1812, 0.5641, 0.9467)  2 Re 2.02
O (0.5591, 0.1900, 0.8990)  2 Re 1.95-1.98
O (0.4372, 0.8147, 0.8514)  2 Re 1.97-2.00
O (0.8147, 0.8147, 0.8042)  2 Re 1.99
O (0.5641, 0.1812, 0.9467)  2 Re 2.02
O (0.8147, 0.4372, 0.8514)  2 Re 1.97-2.00
O (0.5591, 0.5592, 0.8990)  2 Re 1.95-1.98
O (0.4344, 0.4344, 0.9769)  2 Re 1.99-2.01
O (0.4378, 0.8115, 0.9299)  2 Re 1.98
O (0.8115, 0.4377, 0.9299)  2 Re 1.98
O (0.8737, 0.8737, 0.8599)  4 Pb 2.28-2.33
O (0.4345, 0.8163, 0.9769)  2 Re 1.99-2.01
O (0.8163, 0.4344, 0.9769)  2 Re 1.99-2.01
O (0.8115, 0.8115, 0.9299)  2 Re 1.98
O (0.8571, 0.8571, 0.9911)  3 Pb 2.23

Values from the calculation:
Calculated volume, Å³ per cell: 2372.0
Total magnetic moment, μB per formula unit: 9.34



The data favor P); the next most stable structure lies 16 meV per atom above it.



P) PbSe2O6 | PBE | relaxed

Cell lengths 5.4839, 6.4499, 15.0815 Å; angles 90.00, 90.00, 90.00 degrees
Closest atoms and distances in Å follow each position.
Fractional positions:
Pb (0.7500, 0.1935, 0.5000)  6 O 2.23-2.38
Pb (0.2500, 0.3065, 0.0000)  6 O 2.23-2.38
Pb (0.2500, 0.8065, 0.5000)  6 O 2.23-2.38
Pb (0.7500, 0.6935, 0.0000)  6 O 2.23-2.38
Se (0.2507, 0.2724, 0.6552)  3 O 1.64-1.84
Se (0.7507, 0.2276, 0.8448)  3 O 1.64-1.84
Se (0.7493, 0.2276, 0.1552)  3 O 1.64-1.84
Se (0.2493, 0.2724, 0.3448)  3 O 1.64-1.84
Se (0.7493, 0.7276, 0.3448)  3 O 1.64-1.84
Se (0.2493, 0.7724, 0.1552)  3 O 1.64-1.84
Se (0.2507, 0.7724, 0.8448)  3 O 1.64-1.84
Se (0.7507, 0.7276, 0.6552)  3 O 1.64-1.84
O (0.0919, 0.0978, 0.5779)  1 Se 1.84
O (0.5919, 0.4022, 0.9221)  1 Se 1.84
O (0.9081, 0.4022, 0.0779)  1 Se 1.84
O (0.4081, 0.0978, 0.4221)  1 Se 1.84
O (0.9081, 0.9022, 0.4221)  1 Se 1.84
O (0.4081, 0.5978, 0.0779)  1 Se 1.84
O (0.0919, 0.5978, 0.9221)  1 Se 1.84
O (0.5919, 0.9022, 0.5779)  1 Se 1.84
O (0.4878, 0.3700, 0.5843)  1 Se 1.80
O (0.9878, 0.1300, 0.9157)  1 Se 1.80
O (0.5122, 0.1300, 0.0843)  1 Se 1.80
O (0.0122, 0.3700, 0.4157)  1 Se 1.80
O (0.5122, 0.6300, 0.4157)  1 Se 1.80
O (0.0122, 0.8700, 0.0843)  1 Se 1.80
O (0.4878, 0.8700, 0.9157)  1 Se 1.80
O (0.9878, 0.6300, 0.5843)  1 Se 1.80
O (0.3745, 0.1111, 0.7266)  1 Se 1.64
O (0.8745, 0.3889, 0.7734)  1 Se 1.64
O (0.6255, 0.3889, 0.2266)  1 Se 1.64
O (0.1255, 0.1111, 0.2734)  1 Se 1.64
O (0.6255, 0.8889, 0.2734)  1 Se 1.64
O (0.1255, 0.6111, 0.2266)  1 Se 1.64
O (0.3745, 0.6111, 0.7734)  1 Se 1.64
O (0.8745, 0.8889, 0.7266)  1 Se 1.64

Values from the calculation:
Calculated volume, Å³ per cell: 533.4
Total magnetic moment, μB per formula unit: 0.00



Q) PbSe2O6 | PBE | relaxed

Cell lengths 9.0267, 4.9785, 7.3046 Å; angles 69.77, 90.00, 90.00 degrees
Closest atoms and distances in Å follow each position.
Fractional positions:
Pb (0.5000, 0.5000, 0.5000)  6 O 2.20-2.22
Pb (0.0000, 0.5000, 0.0000)  6 O 2.20-2.22
Se (0.6515, 0.1405, 0.1862)  3 O 1.73-1.75
Se (0.3485, 0.8595, 0.8138)  3 O 1.73-1.75
Se (0.8485, 0.1405, 0.6862)  3 O 1.73-1.75
Se (0.1515, 0.8595, 0.3138)  3 O 1.73-1.75
O (0.9432, 0.4142, 0.7298)  1 Se 1.73
O (0.1534, 0.1332, 0.0863)  1 Se 1.75
O (0.8360, 0.2253, 0.2067)  1 Se 1.74
O (0.6640, 0.2253, 0.7067)  1 Se 1.74
O (0.4432, 0.5858, 0.7702)  1 Se 1.73
O (0.0568, 0.5858, 0.2702)  1 Se 1.73
O (0.5568, 0.4142, 0.2298)  1 Se 1.73
O (0.3360, 0.7747, 0.2933)  1 Se 1.74
O (0.1640, 0.7747, 0.7933)  1 Se 1.74
O (0.6534, 0.8668, 0.4137)  1 Se 1.75
O (0.3466, 0.1332, 0.5863)  1 Se 1.75
O (0.8466, 0.8668, 0.9137)  1 Se 1.75

Values from the calculation:
Calculated volume, Å³ per cell: 308.0
Total magnetic moment, μB per formula unit: 0.00



The data favor Q); the next most stable structure lies 85 meV per atom above it.